Run A
16
Lattice="-2.712 3.897 2.785 2.998 -2.867 3.766 4.672 3.724 -3.590" Properties=species:S:1:pos:R:3 comment="CaGe2O5, optimized geometry, DFT PBE" vol_a3_per_atom=11.8 pbc="T T T"
Ca 0.406 2.667 2.054
Ca 4.552 2.087 0.907
Ge 2.323 0.182 2.525
Ge 2.336 1.862 -1.795
Ge 2.636 4.572 0.436
Ge 0.000 0.000 0.000
O -1.131 4.380 1.916
O 2.308 2.916 -0.116
O 6.089 0.374 1.045
O 2.650 1.838 3.077
O 2.259 -1.022 3.824
O 2.699 5.776 -0.863
O 0.736 0.294 1.747
O 1.309 4.993 1.512
O 3.649 -0.239 1.449
O 4.222 4.460 1.214

Run B
32
Lattice="-4.700 -0.681 -3.336 4.352 -0.604 -6.010 0.404 -8.298 1.126" Properties=species:S:1:pos:R:3 comment="CaGe2O5, optimized geometry, DFT PBE" vol_a3_per_atom=11.3 pbc="T T T"
Ca -0.701 -1.938 -3.665
Ca 0.757 -7.645 -4.554
Ca 1.542 -3.633 -6.480
Ca -1.487 -5.950 -1.738
Ge 2.708 -1.578 -3.494
Ge 2.048 -7.324 -1.389
Ge 0.616 -3.004 -0.255
Ge 4.140 -5.898 -4.629
Ge 1.187 -4.624 -3.287
Ge -3.509 -0.509 -2.490
Ge -1.131 -4.960 -4.932
Ge -1.191 -0.173 -0.845
O 3.701 -1.116 -4.987
O 1.055 -7.786 0.104
O 1.668 -3.750 -1.584
O 3.088 -5.152 -3.299
O -0.678 -4.238 -3.228
O 0.734 -5.345 -4.991
O 1.341 -1.309 -6.671
O -1.285 -8.275 -1.548
O 1.195 -0.444 -3.701
O -3.517 -4.688 -2.076
O -1.543 -0.841 -5.644
O -0.779 -4.291 -0.133
O -0.591 -1.954 -1.205
O 3.078 -7.277 -5.288
O -0.812 -3.306 -5.841
O -1.564 -6.630 -4.103
O 0.646 -7.629 -7.014
O -3.023 -2.307 -2.931
O 0.868 -6.278 -2.378
O 1.619 -2.953 -4.115

Most stable to least stable: run B, run A

Run A
20
Lattice="4.389 5.512 0.000 -4.389 5.512 0.000 0.000 1.271 5.174" Properties=species:S:1:pos:R:3 comment="CaTiGe2O6, optimized geometry, DFT PBE" magnetic_moment_mub_per_fu=0.000 vol_a3_per_atom=12.5 pbc="T T T"
Ca 1.429 5.829 1.294
Ca -1.429 6.465 3.881
Ti -3.524 5.829 1.294
Ti 3.524 6.465 3.881
Ge -1.113 8.149 0.742
Ge -1.113 3.510 1.845
Ge 1.113 4.145 4.432
Ge 1.113 8.784 3.329
O 0.118 7.728 2.171
O 0.118 3.931 0.416
O -0.118 4.566 3.003
O -0.118 8.363 4.758
O 2.308 7.739 4.412
O 2.308 5.190 3.349
O -2.308 4.555 0.762
O -2.308 7.104 1.825
O -0.745 10.008 0.581
O -0.745 1.651 2.006
O 0.745 2.286 4.593
O 0.745 10.643 3.168

Run B
40
Lattice="8.695 0.000 0.000 0.000 5.417 0.000 0.000 2.688 11.887" Properties=species:S:1:pos:R:3 comment="CaTiGe2O6, optimized geometry, DFT PBE" magnetic_moment_mub_per_fu=0.001 vol_a3_per_atom=14.0 pbc="T T T"
Ca 3.631 3.527 3.119
Ca 7.979 7.287 8.769
Ca 5.063 4.578 8.769
Ca 0.716 0.818 3.119
Ti 5.776 0.854 3.327
Ti 1.428 4.543 8.561
Ti 2.919 7.251 8.561
Ti 7.267 3.563 3.327
Ge 3.195 1.094 0.832
Ge 7.542 4.302 11.056
Ge 5.500 7.011 11.056
Ge 1.153 3.803 0.832
Ge 3.065 6.026 5.681
Ge 7.412 4.788 6.207
Ge 5.630 2.079 6.207
Ge 1.283 3.317 5.681
O 2.198 4.611 4.788
O 6.545 6.203 7.099
O 6.497 3.494 7.099
O 2.149 1.903 4.788
O 2.418 5.022 1.736
O 6.766 5.792 10.151
O 6.276 3.083 10.151
O 1.929 2.313 1.736
O 8.346 3.086 5.041
O 3.998 2.311 6.847
O 0.349 5.020 6.847
O 4.696 5.794 5.041
O 8.633 4.189 2.318
O 4.286 6.625 9.570
O 0.061 3.916 9.570
O 4.409 1.480 2.318
O 2.914 3.584 9.265
O 7.262 1.813 2.622
O 5.781 4.521 2.622
O 1.433 6.293 9.265
O 2.965 5.457 7.356
O 7.312 5.357 4.531
O 5.730 2.649 4.531
O 1.383 2.748 7.356

Most stable to least stable: run B, run A

Run A
10
Lattice="3.631 0.000 0.000 -0.619 6.786 0.000 -1.158 -3.237 5.943" Properties=species:S:1:pos:R:3 comment="NaCaH3, optimized geometry, DFT PBE" magnetic_moment_mub_per_fu=0.000 vol_a3_per_atom=14.6 pbc="T T T"
Na 2.831 4.083 1.552
Na -0.978 -0.534 4.391
Ca 0.950 1.005 1.248
Ca 0.904 2.544 4.695
H 0.862 0.488 3.461
H 0.992 3.061 2.482
H -0.908 4.043 4.843
H 2.762 -0.494 1.100
H -0.898 1.435 5.507
H 2.752 2.115 0.436

Run B
10
Lattice="-1.203 2.230 5.562 -3.652 -2.863 3.977 2.099 -2.602 5.116" Properties=species:S:1:pos:R:3 comment="NaCaH3, optimized geometry, DFT PBE" magnetic_moment_mub_per_fu=0.000 vol_a3_per_atom=15.2 pbc="T T T"
Na -1.977 -2.321 10.514
Na -0.599 -0.704 3.186
Ca -1.375 -1.614 7.311
Ca -2.753 -3.232 14.638
H -0.586 0.473 6.909
H 0.156 -2.943 6.295
H -3.169 -1.756 5.932
H -2.306 -3.445 8.369
H -2.663 -0.591 8.932
H -0.007 -1.808 9.162

Most stable to least stable: run A, run B

Run A
7
Lattice="0.000 -4.861 1.044 3.928 -2.752 -1.309 1.733 0.688 3.510" Properties=species:S:1:pos:R:3 comment="CaNi5H, optimized geometry, DFT PBE" magnetic_moment_mub_per_fu=1.549 vol_a3_per_atom=12.3 pbc="T T T"
Ca 5.611 -6.909 3.175
Ni 1.356 -2.582 -0.050
Ni 2.617 -5.033 -0.141
Ni 2.854 -3.456 1.666
Ni 4.793 -4.858 1.051
Ni 2.904 -5.872 2.182
H 1.327 -1.334 1.020

Run B
7
Lattice="0.771 3.119 3.752 -3.926 0.675 -2.921 -2.155 -2.310 2.363" Properties=species:S:1:pos:R:3 comment="CaNi5H, optimized geometry, DFT PBE" magnetic_moment_mub_per_fu=1.801 vol_a3_per_atom=12.0 pbc="T T T"
Ca 0.760 3.114 3.737
Ni -2.334 1.503 -0.659
Ni -0.815 2.294 1.499
Ni -2.672 0.733 1.573
Ni -0.718 0.423 3.053
Ni -2.258 2.276 3.458
H -4.330 -0.130 -0.783

Most stable to least stable: run A, run B

Run A
56
Lattice="-6.322 2.907 0.075 -1.681 -3.896 9.269 2.793 5.836 9.190" Properties=species:S:1:pos:R:3 comment="CaPHO4, optimized geometry, DFT PBE" magnetic_moment_mub_per_fu=0.000 vol_a3_per_atom=12.3 pbc="T T T"
Ca 1.956 4.274 7.287
Ca -2.443 2.737 2.728
Ca -7.166 0.573 11.248
Ca -2.767 2.110 15.807
Ca -6.113 0.022 7.133
Ca -3.952 2.588 11.719
Ca 0.903 4.825 11.402
Ca -1.258 2.259 6.816
P -2.296 7.256 9.651
P -3.688 4.336 5.056
P -2.914 -2.408 8.884
P -1.522 0.511 13.479
P -1.814 4.282 9.542
P -6.261 2.767 4.984
P -3.396 0.565 8.993
P 1.051 2.080 13.551
H -4.780 4.697 8.717
H -4.033 0.793 4.096
H -0.430 0.151 9.818
H -1.177 4.054 14.439
H 0.313 2.676 9.125
H -2.550 0.432 4.547
H -5.522 2.172 9.410
H -2.659 4.415 13.988
O -3.812 7.166 9.856
O -2.766 3.125 5.232
O -1.398 -2.319 8.678
O -2.444 1.723 13.303
O -3.742 3.570 17.394
O -5.393 0.769 12.802
O -1.468 1.277 1.141
O 0.183 4.078 5.733
O -1.603 5.850 10.062
O -5.198 3.943 5.493
O -3.607 -1.002 8.473
O -0.012 0.904 13.042
O -4.390 2.468 1.327
O -3.330 5.541 5.927
O -0.820 2.379 17.208
O -1.880 -0.694 12.608
O -3.220 3.853 9.924
O -5.664 1.417 5.341
O -1.989 0.994 8.611
O 0.454 3.430 13.193
O -0.667 3.572 10.267
O -1.210 0.262 5.661
O -4.543 1.275 8.268
O -4.000 4.585 12.874
O -1.587 4.279 8.020
O -0.119 0.044 3.391
O -3.623 0.568 10.515
O -5.091 4.803 15.144
O 0.801 2.348 8.305
O -3.133 0.597 3.740
O -6.011 2.499 10.230
O -2.077 4.250 14.795

Run B
28
Lattice="6.720 0.000 0.000 0.222 6.977 0.000 0.821 1.726 6.835" Properties=species:S:1:pos:R:3 comment="CaPHO4, optimized geometry, DFT PBE" magnetic_moment_mub_per_fu=0.000 vol_a3_per_atom=11.4 pbc="T T T"
Ca 4.130 5.349 1.879
Ca 3.627 3.284 4.989
Ca 1.808 7.013 4.591
Ca 5.928 1.897 2.281
P 4.928 6.763 4.899
P 2.817 1.905 1.894
P 0.645 5.189 1.408
P 7.038 3.382 5.390
H 1.362 4.626 3.685
H 1.928 3.316 0.330
H 5.883 5.424 6.466
H 0.259 6.954 0.155
O 5.897 3.056 4.442
O 1.752 5.404 2.481
O 1.228 2.160 5.692
O 6.679 6.603 1.105
O 5.372 6.326 6.390
O 2.406 2.389 0.409
O 4.065 5.614 4.298
O 3.656 3.045 2.543
O 6.187 7.044 4.074
O 1.545 1.622 2.701
O 4.010 7.977 5.081
O 3.725 0.686 1.704
O 1.288 4.678 0.104
O 6.555 4.047 6.683
O 6.251 4.296 1.946
O 1.365 4.416 4.708

Most stable to least stable: run B, run A